{"formula": "KMg14Cr", "functional": "GGA-PBE", "state": "relaxed", "lattice_angstrom": [[-4.9884, -2.7003, -3.0878], [0.2496, -0.1162, 6.4525], [-5.1783, 9.1486, 0.3652]], "species": ["K", "Mg", "Mg", "Mg", "Mg", "Mg", "Mg", "Mg", "Mg", "Mg", "Mg", "Mg", "Mg", "Mg", "Mg", "Cr"], "fractional_positions": [[0.1667, 0.3333, 0.1250], [0.1713, 0.8357, 0.1250], [0.1650, 0.8325, 0.6250], [0.6643, 0.3287, 0.1250], [0.6675, 0.3350, 0.6250], [0.6643, 0.8357, 0.1250], [0.6675, 0.8325, 0.6250], [0.3350, 0.1650, 0.3911], [0.3350, 0.1650, 0.8589], [0.3350, 0.6700, 0.3911], [0.3350, 0.6700, 0.8589], [0.8300, 0.1650, 0.3911], [0.8300, 0.1650, 0.8589], [0.8333, 0.6667, 0.3699], [0.8333, 0.6667, 0.8801], [0.1667, 0.3333, 0.6250]], "mass_density_g_cm3": 1.885, "space_group": "P-6m2", "m_tot_mub_per_cell": 3.9, "final_energy_ev_per_atom": -1.891}

{"formula": "K3Cr2P3S12", "functional": "GGA-PBE", "state": "relaxed", "lattice_angstrom": [[12.6222, 0.0000, 0.0000], [0.0000, 9.9700, 0.0000], [0.0000, 7.8514, 17.8982]], "species": ["K", "K", "K", "K", "K", "K", "K", "K", "K", "K", "K", "K", "Cr", "Cr", "Cr", "Cr", "Cr", "Cr", "Cr", "Cr", "P", "P", "P", "P", "P", "P", "P", "P", "P", "P", "P", "P", "S", "S", "S", "S", "S", "S", "S", "S", "S", "S", "S", "S", "S", "S", "S", "S", "S", "S", "S", "S", "S", "S", "S", "S", "S", "S", "S", "S", "S", "S", "S", "S", "S", "S", "S", "S", "S", "S", "S", "S", "S", "S", "S", "S", "S", "S", "S", "S"], "fractional_positions": [[0.1316, 0.8037, 0.2038], [0.5790, 0.3066, 0.6209], [0.4368, 0.7232, 0.0460], [0.9210, 0.3066, 0.1209], [0.4210, 0.6934, 0.3791], [0.5632, 0.2768, 0.9540], [0.3684, 0.8037, 0.7038], [0.6316, 0.1963, 0.2962], [0.0790, 0.6934, 0.8791], [0.9368, 0.2768, 0.4540], [0.8684, 0.1963, 0.7962], [0.0632, 0.7232, 0.5460], [0.7712, 0.7640, 0.2899], [0.2288, 0.2360, 0.7101], [0.2712, 0.2360, 0.2101], [0.7827, 0.7766, 0.1023], [0.7288, 0.7640, 0.7899], [0.7173, 0.7766, 0.6023], [0.2827, 0.2234, 0.3977], [0.2173, 0.2234, 0.8977], [0.6274, 0.5214, 0.7463], [0.8726, 0.5214, 0.2463], [0.8171, 0.0251, 0.6462], [0.1829, 0.9749, 0.3538], [0.1274, 0.4786, 0.7537], [0.2600, 0.2427, 0.5519], [0.7400, 0.7573, 0.4481], [0.2400, 0.2427, 0.0519], [0.3726, 0.4786, 0.2537], [0.6829, 0.0251, 0.1462], [0.7600, 0.7573, 0.9481], [0.3171, 0.9749, 0.8538], [0.0711, 0.3879, 0.6828], [0.3662, 0.0569, 0.9296], [0.3415, 0.1164, 0.1342], [0.9289, 0.6121, 0.3172], [0.5711, 0.6121, 0.8172], [0.0609, 0.3757, 0.8586], [0.6752, 0.6217, 0.4029], [0.7827, 0.6105, 0.7254], [0.1745, 0.7581, 0.3896], [0.1585, 0.1164, 0.6342], [0.4391, 0.3757, 0.3587], [0.3255, 0.7581, 0.8896], [0.1337, 0.1202, 0.0211], [0.8663, 0.8798, 0.9789], [0.6585, 0.8836, 0.8658], [0.2827, 0.3895, 0.7746], [0.3837, 0.0847, 0.7501], [0.1752, 0.3783, 0.0971], [0.6745, 0.2419, 0.1104], [0.3248, 0.3783, 0.5971], [0.3388, 0.0644, 0.3330], [0.1612, 0.0644, 0.8330], [0.8255, 0.2419, 0.6104], [0.8388, 0.9356, 0.1670], [0.6338, 0.9431, 0.0704], [0.9391, 0.6243, 0.1414], [0.6163, 0.9153, 0.2499], [0.1903, 0.3671, 0.4513], [0.1163, 0.0847, 0.2501], [0.1213, 0.6963, 0.7126], [0.5609, 0.6243, 0.6414], [0.3663, 0.1202, 0.5211], [0.8248, 0.6217, 0.9029], [0.8097, 0.6329, 0.5487], [0.8787, 0.3037, 0.2874], [0.3787, 0.6963, 0.2126], [0.4289, 0.3879, 0.1828], [0.3097, 0.3671, 0.9513], [0.8662, 0.9431, 0.5704], [0.6612, 0.9356, 0.6670], [0.6213, 0.3037, 0.7874], [0.6903, 0.6329, 0.0487], [0.7173, 0.6105, 0.2254], [0.8415, 0.8836, 0.3658], [0.6337, 0.8798, 0.4789], [0.2173, 0.3895, 0.2746], [0.8837, 0.9153, 0.7499], [0.1338, 0.0569, 0.4296]], "mass_density_g_cm3": 2.061, "space_group": "P2_1/c", "m_tot_mub_per_cell": 0.0, "final_energy_ev_per_atom": -5.067}

{"formula": "KCr2S4", "functional": "GGA-PBE", "state": "relaxed", "lattice_angstrom": [[-2.9048, -0.3354, 2.0622], [-6.4603, -0.9152, -9.2486], [1.6139, -12.9992, 0.1590]], "species": ["K", "K", "K", "K", "Cr", "Cr", "Cr", "Cr", "Cr", "Cr", "Cr", "Cr", "S", "S", "S", "S", "S", "S", "S", "S", "S", "S", "S", "S", "S", "S", "S", "S"], "fractional_positions": [[0.2500, 0.2383, 0.3347], [0.7500, 0.7617, 0.6653], [0.7500, 0.2617, 0.8347], [0.2500, 0.7383, 0.1653], [0.2500, 0.0635, 0.1082], [0.7500, 0.9365, 0.8918], [0.7500, 0.4365, 0.6082], [0.2500, 0.5635, 0.3918], [0.2500, 0.0787, 0.6048], [0.7500, 0.9213, 0.3952], [0.7500, 0.4213, 0.1048], [0.2500, 0.5787, 0.8952], [0.7500, 0.0248, 0.7166], [0.2500, 0.9752, 0.2834], [0.2500, 0.4752, 0.2166], [0.7500, 0.5248, 0.7834], [0.2500, 0.0716, 0.9284], [0.7500, 0.9284, 0.0716], [0.7500, 0.4284, 0.4284], [0.2500, 0.5716, 0.5716], [0.7500, 0.1076, 0.4869], [0.2500, 0.8924, 0.5131], [0.2500, 0.3924, 0.9869], [0.7500, 0.6076, 0.0131], [0.7500, 0.2032, 0.1354], [0.2500, 0.7968, 0.8646], [0.2500, 0.2968, 0.6354], [0.7500, 0.7032, 0.3646]], "mass_density_g_cm3": 3.397, "space_group": "Pnma", "m_tot_mub_per_cell": 20.0, "final_energy_ev_per_atom": -6.040, "relative_energy_ev_per_fu": 0.557}

{"formula": "KCr2S4", "functional": "GGA-PBE", "state": "relaxed", "lattice_angstrom": [[-5.3537, -11.6757, 3.2102], [2.0125, -1.5613, -2.3222], [9.7993, -1.8215, 9.7173]], "species": ["K", "K", "K", "K", "Cr", "Cr", "Cr", "Cr", "Cr", "Cr", "Cr", "Cr", "S", "S", "S", "S", "S", "S", "S", "S", "S", "S", "S", "S", "S", "S", "S", "S"], "fractional_positions": [[0.1109, 0.7500, 0.3812], [0.8891, 0.2500, 0.6188], [0.3891, 0.2500, 0.8812], [0.6109, 0.7500, 0.1188], [0.0978, 0.2500, 0.0503], [0.9022, 0.7500, 0.9497], [0.4022, 0.7500, 0.5503], [0.5978, 0.2500, 0.4497], [0.2070, 0.2500, 0.6340], [0.7930, 0.7500, 0.3660], [0.2930, 0.7500, 0.1340], [0.7070, 0.2500, 0.8660], [0.0921, 0.7500, 0.6185], [0.9079, 0.2500, 0.3815], [0.4079, 0.2500, 0.1185], [0.5921, 0.7500, 0.8815], [0.0117, 0.2500, 0.9007], [0.9883, 0.7500, 0.0993], [0.4883, 0.7500, 0.4007], [0.5117, 0.2500, 0.5993], [0.1898, 0.2500, 0.2016], [0.8102, 0.7500, 0.7984], [0.3102, 0.7500, 0.7016], [0.6898, 0.2500, 0.2984], [0.2129, 0.7500, 0.9927], [0.7871, 0.2500, 0.0073], [0.2871, 0.2500, 0.4927], [0.7129, 0.7500, 0.5073]], "mass_density_g_cm3": 2.837, "space_group": "Pnma", "m_tot_mub_per_cell": 20.0, "final_energy_ev_per_atom": -6.054, "relative_energy_ev_per_fu": 0.457}

{"formula": "KCr2S4", "functional": "GGA-PBE", "state": "relaxed", "lattice_angstrom": [[2.5761, 1.7642, -1.6858], [-2.8789, 1.7296, 1.1451], [6.6598, 2.5679, 12.8640]], "species": ["K", "Cr", "Cr", "S", "S", "S", "S"], "fractional_positions": [[0.3333, 0.6667, 0.0000], [0.6667, 0.3333, 0.7499], [0.6667, 0.3333, 0.2501], [0.3333, 0.6667, 0.6714], [0.0000, 0.0000, 0.8425], [0.0000, 0.0000, 0.1575], [0.3333, 0.6667, 0.3286]], "mass_density_g_cm3": 2.809, "space_group": "P-6m2", "m_tot_mub_per_cell": 5.0, "final_energy_ev_per_atom": -6.002, "relative_energy_ev_per_fu": 0.822}

{"formula": "K3Cr11S18", "functional": "GGA-PBE", "state": "relaxed", "lattice_angstrom": [[0.5932, -7.4059, -7.9477], [3.9519, -6.3533, -7.8982], [4.0368, -13.2972, 8.8435]], "species": ["K", "K", "K", "Cr", "Cr", "Cr", "Cr", "Cr", "Cr", "Cr", "Cr", "Cr", "Cr", "Cr", "S", "S", "S", "S", "S", "S", "S", "S", "S", "S", "S", "S", "S", "S", "S", "S", "S", "S"], "fractional_positions": [[0.1939, 0.1939, 0.9113], [0.8061, 0.8061, 0.0887], [0.4972, 0.4972, 0.5003], [0.1513, 0.1513, 0.2783], [0.8487, 0.8487, 0.7217], [0.7054, 0.7054, 0.4297], [0.4086, 0.4086, 0.8678], [0.5297, 0.5297, 0.7432], [0.4703, 0.4703, 0.2568], [0.2946, 0.2946, 0.5703], [0.5914, 0.5914, 0.1322], [0.1648, 0.1648, 0.6796], [0.8352, 0.8352, 0.3204], [0.0000, 0.0000, 0.0000], [0.3643, 0.3643, 0.2268], [0.5767, 0.5767, 0.9916], [0.1649, 0.1649, 0.1262], [0.2704, 0.2704, 0.7186], [0.7056, 0.7056, 0.5760], [0.4217, 0.4217, 0.7188], [0.6357, 0.6357, 0.7732], [0.0612, 0.0612, 0.6480], [0.8351, 0.8351, 0.8738], [0.8637, 0.8637, 0.5740], [0.9388, 0.9388, 0.3520], [0.5783, 0.5783, 0.2812], [0.1363, 0.1363, 0.4260], [0.4233, 0.4233, 0.0084], [0.0033, 0.0033, 0.1476], [0.7296, 0.7296, 0.2814], [0.9967, 0.9967, 0.8524], [0.2944, 0.2944, 0.4240]], "mass_density_g_cm3": 3.430, "space_group": "Cm", "m_tot_mub_per_cell": 33.0, "final_energy_ev_per_atom": -6.551, "relative_energy_ev_per_fu": 0.419}

{"formula": "KCr2S4", "functional": "GGA-PBE", "state": "relaxed", "lattice_angstrom": [[5.9862, 0.0000, 0.0000], [0.0000, 6.9656, 0.0000], [0.0000, 0.0000, 15.2552]], "species": ["K", "K", "K", "K", "Cr", "Cr", "Cr", "Cr", "Cr", "Cr", "Cr", "Cr", "S", "S", "S", "S", "S", "S", "S", "S", "S", "S", "S", "S", "S", "S", "S", "S"], "fractional_positions": [[0.3344, 0.0000, 0.0000], [0.6656, 0.5000, 0.5000], [0.0314, 0.0000, 0.5000], [0.9686, 0.5000, 0.0000], [0.0014, 0.0000, 0.2486], [0.0014, 0.0000, 0.7514], [0.9986, 0.5000, 0.2514], [0.9986, 0.5000, 0.7486], [0.5000, 0.2500, 0.2500], [0.5000, 0.7500, 0.7500], [0.5000, 0.7500, 0.2500], [0.5000, 0.2500, 0.7500], [0.8386, 0.2488, 0.3367], [0.8386, 0.7512, 0.6633], [0.1614, 0.7488, 0.1633], [0.1614, 0.2512, 0.8367], [0.1614, 0.2512, 0.1633], [0.1614, 0.7488, 0.8367], [0.8386, 0.7512, 0.3367], [0.8386, 0.2488, 0.6633], [0.6658, 0.0000, 0.1634], [0.6658, 0.0000, 0.8366], [0.3342, 0.5000, 0.3366], [0.3342, 0.5000, 0.6634], [0.3414, 0.0000, 0.3353], [0.3414, 0.0000, 0.6647], [0.6586, 0.5000, 0.1647], [0.6586, 0.5000, 0.8353]], "mass_density_g_cm3": 2.833, "space_group": "Pmmn", "final_energy_ev_per_atom": -6.119, "relative_energy_ev_per_fu": 0.000}

{"formula": "KCr2S4", "functional": "GGA-PBE", "state": "relaxed", "lattice_angstrom": [[1.5994, 7.9899, 0.0000], [-1.5994, 7.9899, 0.0000], [0.0000, 1.4045, 5.3609]], "species": ["K", "Cr", "Cr", "S", "S", "S", "S"], "fractional_positions": [[0.5000, 0.5000, 0.5000], [0.7533, 0.7533, 0.1950], [0.2467, 0.2467, 0.8050], [0.3520, 0.3520, 0.0084], [0.6480, 0.6480, 0.9916], [0.8276, 0.8276, 0.5224], [0.1724, 0.1724, 0.4776]], "mass_density_g_cm3": 3.289, "space_group": "C2/m", "m_tot_mub_per_cell": 1.0, "final_energy_ev_per_atom": -6.029, "relative_energy_ev_per_fu": 0.633}

{"formula": "KCr2S4", "functional": "GGA-PBE", "state": "relaxed", "lattice_angstrom": [[-0.5056, 0.5428, -6.5312], [4.7593, -7.1351, -0.9815], [-8.9997, -8.4303, -0.6880]], "species": ["K", "K", "K", "K", "Cr", "Cr", "Cr", "Cr", "Cr", "Cr", "Cr", "Cr", "S", "S", "S", "S", "S", "S", "S", "S", "S", "S", "S", "S", "S", "S", "S", "S"], "fractional_positions": [[0.1540, 0.2072, 0.6617], [0.8460, 0.7928, 0.3383], [0.2502, 0.3528, 0.0194], [0.7498, 0.6472, 0.9806], [0.1586, 0.7105, 0.7102], [0.8414, 0.2895, 0.2898], [0.2884, 0.8724, 0.0012], [0.7116, 0.1276, 0.9988], [0.3518, 0.5511, 0.3009], [0.6482, 0.4489, 0.6991], [0.3680, 0.0468, 0.3012], [0.6320, 0.9532, 0.6988], [0.1972, 0.6926, 0.8837], [0.8028, 0.3074, 0.1163], [0.0515, 0.0739, 0.9267], [0.9485, 0.9261, 0.0733], [0.3098, 0.7842, 0.3625], [0.6902, 0.2158, 0.6375], [0.1864, 0.2874, 0.3284], [0.8136, 0.7126, 0.6716], [0.3365, 0.9084, 0.6222], [0.6635, 0.0916, 0.3778], [0.3308, 0.5219, 0.6509], [0.6692, 0.4781, 0.3491], [0.4338, 0.0326, 0.1182], [0.5662, 0.9674, 0.8818], [0.3253, 0.6410, 0.1257], [0.6747, 0.3590, 0.8743]], "mass_density_g_cm3": 2.613, "space_group": "P-1", "m_tot_mub_per_cell": 22.0, "final_energy_ev_per_atom": -5.845, "relative_energy_ev_per_fu": 1.923}

{"formula": "K3Cr11S18", "functional": "GGA-PBE", "state": "relaxed", "lattice_angstrom": [[-4.3339, -4.4623, -8.9258], [-0.9283, -4.6333, -9.7998], [0.3208, -15.8818, 4.3573]], "species": ["K", "K", "K", "Cr", "Cr", "Cr", "Cr", "Cr", "Cr", "Cr", "Cr", "Cr", "Cr", "Cr", "S", "S", "S", "S", "S", "S", "S", "S", "S", "S", "S", "S", "S", "S", "S", "S", "S", "S"], "fractional_positions": [[0.1967, 0.1967, 0.9113], [0.8033, 0.8033, 0.0887], [0.5000, 0.5000, 0.5000], [0.1541, 0.1541, 0.2783], [0.8459, 0.8459, 0.7217], [0.7082, 0.7082, 0.4297], [0.4114, 0.4114, 0.8678], [0.5324, 0.5324, 0.7432], [0.4676, 0.4676, 0.2568], [0.2918, 0.2918, 0.5703], [0.5886, 0.5886, 0.1322], [0.1676, 0.1676, 0.6796], [0.8324, 0.8324, 0.3204], [0.0000, 0.0000, 0.0000], [0.3671, 0.3671, 0.2268], [0.5795, 0.5795, 0.9916], [0.1677, 0.1677, 0.1262], [0.2732, 0.2732, 0.7186], [0.7083, 0.7083, 0.5760], [0.4245, 0.4245, 0.7188], [0.6329, 0.6329, 0.7732], [0.0640, 0.0640, 0.6480], [0.8323, 0.8323, 0.8738], [0.8665, 0.8665, 0.5740], [0.9360, 0.9360, 0.3520], [0.5755, 0.5755, 0.2812], [0.1335, 0.1335, 0.4260], [0.4205, 0.4205, 0.0084], [0.0060, 0.0060, 0.1476], [0.7268, 0.7268, 0.2814], [0.9940, 0.9940, 0.8524], [0.2917, 0.2917, 0.4240]], "mass_density_g_cm3": 3.430, "space_group": "C2/m", "final_energy_ev_per_atom": -6.564, "relative_energy_ev_per_fu": 0.000}

{"formula": "KCr2S4", "functional": "GGA-PBE", "state": "relaxed", "lattice_angstrom": [[-5.3621, -3.8582, 2.9888], [-2.2208, 6.8935, 0.3451], [1.3051, -2.0603, -6.8281]], "species": ["K", "K", "Cr", "Cr", "Cr", "Cr", "S", "S", "S", "S", "S", "S", "S", "S"], "fractional_positions": [[0.0000, 0.0000, 0.0000], [0.7500, 0.2500, 0.5000], [0.8750, 0.6387, 0.2637], [0.3887, 0.1250, 0.7637], [0.3750, 0.6113, 0.7363], [0.3613, 0.6250, 0.2363], [0.5368, 0.3747, 0.1853], [0.6485, 0.4632, 0.8379], [0.1894, 0.3515, 0.8147], [0.6253, 0.8106, 0.1621], [0.2132, 0.8985, 0.3379], [0.1015, 0.4394, 0.3147], [0.5606, 0.8753, 0.6621], [0.1247, 0.7868, 0.6853]], "mass_density_g_cm3": 3.085, "space_group": "I-42d", "m_tot_mub_per_cell": 10.0, "final_energy_ev_per_atom": -5.887, "relative_energy_ev_per_fu": 1.624}

{"formula": "KCr2S4", "functional": "GGA-PBE", "state": "relaxed", "lattice_angstrom": [[11.4761, 0.0000, 0.0000], [0.0000, 8.0955, 0.0000], [0.0000, 0.0000, 12.1408]], "species": ["K", "K", "K", "K", "K", "K", "K", "K", "Cr", "Cr", "Cr", "Cr", "Cr", "Cr", "Cr", "Cr", "Cr", "Cr", "Cr", "Cr", "Cr", "Cr", "Cr", "Cr", "S", "S", "S", "S", "S", "S", "S", "S", "S", "S", "S", "S", "S", "S", "S", "S", "S", "S", "S", "S", "S", "S", "S", "S", "S", "S", "S", "S", "S", "S", "S", "S"], "fractional_positions": [[0.0633, 0.3756, 0.6628], [0.9367, 0.6244, 0.1628], [0.4367, 0.3756, 0.1628], [0.5633, 0.6244, 0.6628], [0.0976, 0.8747, 0.3365], [0.9024, 0.1253, 0.8365], [0.4024, 0.8747, 0.8365], [0.5976, 0.1253, 0.3365], [0.1150, 0.8514, 0.6948], [0.8850, 0.1486, 0.1948], [0.3850, 0.8514, 0.1948], [0.6150, 0.1486, 0.6948], [0.1394, 0.3455, 0.3272], [0.8606, 0.6545, 0.8272], [0.3606, 0.3455, 0.8272], [0.6394, 0.6545, 0.3272], [0.1561, 0.6190, 0.9311], [0.8439, 0.3810, 0.4311], [0.3439, 0.6190, 0.4311], [0.6561, 0.3810, 0.9311], [0.1508, 0.1119, 0.0123], [0.8492, 0.8881, 0.5123], [0.3492, 0.1119, 0.5123], [0.6508, 0.8881, 0.0123], [0.0260, 0.8157, 0.8657], [0.9740, 0.1843, 0.3657], [0.4740, 0.8157, 0.3657], [0.5260, 0.1843, 0.8657], [0.0579, 0.2944, 0.1494], [0.9421, 0.7056, 0.6494], [0.4421, 0.2944, 0.6494], [0.5579, 0.7056, 0.1494], [0.9919, 0.4719, 0.9116], [0.0081, 0.5281, 0.4116], [0.5081, 0.4719, 0.4116], [0.4919, 0.5281, 0.9116], [0.9882, 0.9761, 0.0869], [0.0118, 0.0239, 0.5869], [0.5118, 0.9761, 0.5869], [0.4882, 0.0239, 0.0869], [0.2640, 0.8351, 0.5438], [0.7360, 0.1649, 0.0438], [0.2360, 0.8351, 0.0438], [0.7640, 0.1649, 0.5438], [0.2492, 0.3710, 0.4903], [0.7508, 0.6290, 0.9903], [0.2508, 0.3710, 0.9903], [0.7492, 0.6290, 0.4903], [0.1987, 0.1127, 0.8151], [0.8013, 0.8873, 0.3151], [0.3013, 0.1127, 0.3151], [0.6987, 0.8873, 0.8151], [0.2444, 0.5975, 0.7693], [0.7556, 0.4025, 0.2693], [0.2556, 0.5975, 0.2693], [0.7444, 0.4025, 0.7693]], "mass_density_g_cm3": 3.196, "space_group": "Pca2_1", "m_tot_mub_per_cell": 40.0, "final_energy_ev_per_atom": -5.838, "relative_energy_ev_per_fu": 1.967}